Ti2RePd after structural relaxation, computed with PBE-GGA.

Its density is 10.43 g/cm3. The calculation puts the raw total energy at -8.842 eV/atom. As for the formation energy: -47 kJ/mol of atoms.

The structure belongs to space group Fm-3m (No. 225); the cell edges are 6.277, 6.277 and 6.277 Å and the angles 90.00°, 90.00° and 90.00°. The distinct sites, in fractional coordinates, are Ti at (0.250, 0.250, 0.250), Re at (0.000, 0.000, 0.000) and Pd at (0.000, 0.000, 0.500).